Here is crystalline Fe2CoSe4 at its relaxed geometry from the Materials Project database. Energies are from PBE.

Computed properties:
- Calculated total energy: -0.20870 Ha/atom
- E_form: -50 kJ per mole of atoms
- Magnetic moment: 3.815 μB/f.u.
- E (MP2020): -5.949 eV per atom

abc: 6.340 6.340 6.088
angles: 64.03 64.03 31.80
Sites, in units of the cell vectors:
Fe  0.259  0.259  0.694
Fe  0.741  0.741  0.306
Co  0.000  0.000  0.000
Se  0.364  0.364  0.979
Se  0.636  0.636  0.021
Se  0.107  0.107  0.555
Se  0.893  0.893  0.445